Entry 1:
DFT (PBE with a Hubbard U) results for an optimized crystal structure of Cr4Co3P6O24.

VASP energy = -271.91 eV for the cell shown
DFT formation energy = -2.44 eV/atom
SG = P-1, No. 2
crystal system = triclinic

Lattice parameters (Å, degrees): 6.3723 7.9623 9.4115 105.21 108.32 101.56
Fractional coordinates of all 37 atoms:
Cr: 0.6199 0.5430 0.8908
Cr: 0.0499 0.7171 0.5238
Cr: 0.3801 0.4570 0.1092
Cr: 0.9501 0.2829 0.4762
Co: 0.2967 0.8125 0.2959
Co: 0.7033 0.1875 0.7041
Co: 0.0000 0.0000 0.0000
P: 0.7782 0.8536 0.2340
P: 0.2218 0.1464 0.7660
P: 0.6090 0.7676 0.6341
P: 0.3909 0.2324 0.3659
P: 0.0940 0.5962 0.8332
P: 0.9060 0.4038 0.1668
O: 0.7903 0.0522 0.2958
O: 0.2097 0.9478 0.7042
O: 0.7784 0.8017 0.0608
O: 0.2216 0.1983 0.9392
O: 0.6290 0.2381 0.4915
O: 0.3710 0.7619 0.5085
O: 0.0095 0.1851 0.6559
O: 0.9905 0.8149 0.3441
O: 0.8797 0.4643 0.8389
O: 0.1203 0.5357 0.1611
O: 0.8828 0.2088 0.0845
O: 0.1172 0.7912 0.9155
O: 0.9288 0.4518 0.3449
O: 0.2688 0.0357 0.2381
O: 0.7312 0.9643 0.7619
O: 0.3146 0.5433 0.9189
O: 0.6854 0.4567 0.0811
O: 0.2490 0.2856 0.4641
O: 0.0712 0.5482 0.6551
O: 0.4479 0.3663 0.2834
O: 0.5521 0.6337 0.7166
O: 0.4521 0.2670 0.7692
O: 0.5479 0.7330 0.2308
O: 0.7510 0.7144 0.5359

---

Entry 2:
DFT (PBE with a Hubbard U) results for an optimized crystal structure of MgFeP2O7.

VASP energy = -76.88 eV for the cell shown
DFT formation energy = -2.58 eV/atom
SG = P1, No. 1
crystal system = triclinic

Lattice parameters (Å, degrees): 5.7553 5.6271 5.1351 96.89 110.92 74.93
Fractional coordinates of all 11 atoms:
Mg: 0.4952 0.1899 0.8789
Fe: 0.0945 0.0380 0.0579
P: 0.2987 0.6862 0.5696
P: 0.6500 0.2865 0.4252
O: 0.5777 0.5725 0.5221
O: 0.8078 0.2660 0.2374
O: 0.4016 0.2091 0.2400
O: 0.3384 0.9058 0.7804
O: 0.2492 0.4838 0.6973
O: 0.1120 0.7675 0.2826
O: 0.7716 0.1413 0.6975

---

Entry 3:
DFT (PBE with a Hubbard U) results for an optimized crystal structure of LiFeF4.

VASP energy = -60.62 eV for the cell shown
DFT formation energy = -2.73 eV/atom
SG = I4_1/amd, No. 141
crystal system = tetragonal

Lattice parameters (Å, degrees): 5.6669 5.6669 5.6669 111.20 111.20 106.06
Fractional coordinates of all 12 atoms:
Li: 0.5000 0.5000 0.0000
Li: 0.2500 0.7500 0.5000
Fe: 0.7500 0.2500 0.5000
Fe: 0.0000 0.0000 0.0000
F: 0.6915 0.4834 0.7918
F: 0.1003 0.3085 0.7918
F: 0.5166 0.3085 0.2082
F: 0.6915 0.8997 0.2082
F: 0.0585 0.3503 0.2918
F: 0.6497 0.9415 0.7082
F: 0.2334 0.9415 0.2918
F: 0.0585 0.7666 0.7082

---

Entry 4:
DFT (PBE with a Hubbard U) results for an optimized crystal structure of Li4V3Co3W2O16.

VASP energy = -185.79 eV for the cell shown
DFT formation energy = -1.94 eV/atom
SG = Cm, No. 8
crystal system = monoclinic

Lattice parameters (Å, degrees): 5.9749 5.9749 9.7738 89.56 89.56 60.47
Fractional coordinates of all 28 atoms:
Li: 0.6674 0.6674 0.9047
Li: 0.9972 0.9972 0.9882
Li: 0.9979 0.9979 0.4860
Li: 0.3365 0.3365 0.4054
V: 0.8235 0.8235 0.2250
V: 0.6554 0.1644 0.7177
V: 0.1644 0.6554 0.7177
Co: 0.8304 0.3417 0.2113
Co: 0.3417 0.8304 0.2113
Co: 0.1711 0.1711 0.7114
W: 0.6606 0.6606 0.4900
W: 0.3325 0.3325 0.9899
O: 0.8234 0.3419 0.5860
O: 0.5236 0.5236 0.3530
O: 0.6839 0.6839 0.1088
O: 0.9900 0.9900 0.2960
O: 0.9986 0.9986 0.7995
O: 0.3419 0.8234 0.5860
O: 0.9616 0.5346 0.3528
O: 0.5346 0.9616 0.3528
O: 0.1695 0.1695 0.0824
O: 0.8225 0.8225 0.5924
O: 0.4876 0.0409 0.8509
O: 0.0409 0.4876 0.8509
O: 0.3407 0.3407 0.6070
O: 0.6493 0.1691 0.0895
O: 0.4796 0.4796 0.8516
O: 0.1691 0.6493 0.0895

---

Entry 5:
DFT (PBE with a Hubbard U) results for an optimized crystal structure of MgV4O7F5.

VASP energy = -113.76 eV for the cell shown
DFT formation energy = -2.68 eV/atom
SG = P1, No. 1
crystal system = triclinic

Lattice parameters (Å, degrees): 5.2797 5.3599 8.8146 75.78 90.06 60.71
Fractional coordinates of all 17 atoms:
Mg: 0.8016 0.3752 0.6113
V: 0.7425 0.4978 0.2606
V: 0.4491 0.0315 0.5060
V: 0.2550 0.5281 0.7578
V: 0.0502 0.9745 0.0206
O: 0.9610 0.2279 0.1258
O: 0.5591 0.7403 0.3718
O: 0.4127 0.7556 0.0750
O: 0.4529 0.7240 0.6667
O: 0.4942 0.2424 0.6204
O: 0.0412 0.7617 0.8654
O: 0.0484 0.2294 0.4441
F: 0.9343 0.7018 0.5784
F: 0.9447 0.7247 0.1647
F: 0.5490 0.2623 0.3166
F: 0.5930 0.2444 0.9176
F: 0.0736 0.2407 0.8187

---

Entry 6:
DFT (PBE with a Hubbard U) results for an optimized crystal structure of Ba2YMgFe3O8.

VASP energy = -99.85 eV for the cell shown
DFT formation energy = -2.35 eV/atom
SG = Pmm2, No. 25
crystal system = orthorhombic

Lattice parameters (Å, degrees): 3.6644 4.1630 15.1642 90.00 90.00 90.00
Fractional coordinates of all 15 atoms:
Ba: 0.5000 0.5000 0.1032
Ba: 0.5000 0.5000 0.8338
Y: 0.5000 0.5000 0.5758
Mg: 0.5000 0.5000 0.3834
Fe: 0.0000 0.0000 0.2819
Fe: 0.0000 0.0000 0.9551
Fe: 0.0000 0.0000 0.6909
O: 0.0000 0.5000 0.4536
O: 0.5000 0.0000 0.3350
O: 0.5000 0.0000 0.9852
O: 0.0000 0.0000 0.1595
O: 0.0000 0.5000 0.6647
O: 0.5000 0.0000 0.6210
O: 0.0000 0.0000 0.8237
O: 0.0000 0.5000 0.9664

---

Entry 7:
DFT (PBE with a Hubbard U) results for an optimized crystal structure of Li2TiCo3P6O24.

VASP energy = -245.24 eV for the cell shown
DFT formation energy = -2.29 eV/atom
SG = R3, No. 146
crystal system = trigonal

Lattice parameters (Å, degrees): 8.5700 8.5700 8.5700 59.93 59.93 59.93
Fractional coordinates of all 36 atoms:
Li: 0.9910 0.9910 0.9910
Li: 0.4975 0.4975 0.4975
Ti: 0.1417 0.1417 0.1417
Co: 0.8547 0.8547 0.8547
Co: 0.6433 0.6433 0.6433
Co: 0.3574 0.3574 0.3574
P: 0.2497 0.5403 0.9641
P: 0.9641 0.2497 0.5403
P: 0.5403 0.9641 0.2497
P: 0.4603 0.0452 0.7426
P: 0.0452 0.7426 0.4603
P: 0.7426 0.4603 0.0452
O: 0.6942 0.4953 0.8776
O: 0.4953 0.8776 0.6942
O: 0.0857 0.7346 0.9411
O: 0.8776 0.6942 0.4953
O: 0.4177 0.5531 0.7718
O: 0.1916 0.3765 0.0046
O: 0.9411 0.0857 0.7346
O: 0.7718 0.4177 0.5531
O: 0.5531 0.7718 0.4177
O: 0.6240 0.0128 0.7937
O: 0.2677 0.0670 0.9096
O: 0.0128 0.7937 0.6240
O: 0.0046 0.1916 0.3765
O: 0.7346 0.9411 0.0857
O: 0.3765 0.0046 0.1916
O: 0.4438 0.2383 0.5729
O: 0.2383 0.5729 0.4438
O: 0.0670 0.9096 0.2677
O: 0.7937 0.6240 0.0128
O: 0.5729 0.4438 0.2383
O: 0.1307 0.2968 0.5110
O: 0.9096 0.2677 0.0670
O: 0.5110 0.1307 0.2968
O: 0.2968 0.5110 0.1307

---

Entry 8:
DFT (PBE with a Hubbard U) results for an optimized crystal structure of Li7Co5O12.

VASP energy = -132.55 eV for the cell shown
DFT formation energy = -1.70 eV/atom
SG = C2/m, No. 12
crystal system = monoclinic

Lattice parameters (Å, degrees): 7.5822 7.5822 9.8191 79.00 79.00 22.03
Fractional coordinates of all 24 atoms:
Li: 0.9177 0.9177 0.7530
Li: 0.0823 0.0823 0.2470
Li: 0.2499 0.2499 0.7503
Li: 0.5790 0.5790 0.7604
Li: 0.7501 0.7501 0.2497
Li: 0.4210 0.4210 0.2396
Li: 0.0000 0.0000 0.0000
Co: 0.3369 0.3369 0.9959
Co: 0.6631 0.6631 0.0041
Co: 0.5000 0.5000 0.5000
Co: 0.8341 0.8341 0.4977
Co: 0.1659 0.1659 0.5023
O: 0.7906 0.7906 0.8949
O: 0.9558 0.9558 0.3810
O: 0.1335 0.1335 0.8931
O: 0.4466 0.4466 0.8834
O: 0.6202 0.6202 0.3877
O: 0.2871 0.2871 0.3803
O: 0.0442 0.0442 0.6190
O: 0.2094 0.2094 0.1051
O: 0.3798 0.3798 0.6123
O: 0.7129 0.7129 0.6197
O: 0.8665 0.8665 0.1069
O: 0.5534 0.5534 0.1166

---

Entry 9:
DFT (PBE with a Hubbard U) results for an optimized crystal structure of K2MnAuF6.

VASP energy = -46.04 eV for the cell shown
DFT formation energy = -2.43 eV/atom
SG = Fm-3m, No. 225
crystal system = cubic

Lattice parameters (Å, degrees): 6.1838 6.1838 6.1838 60.00 60.00 60.00
Fractional coordinates of all 10 atoms:
K: 0.2500 0.2500 0.2500
K: 0.7500 0.7500 0.7500
Mn: 0.0000 0.0000 0.0000
Au: 0.5000 0.5000 0.5000
F: 0.2246 0.7754 0.2246
F: 0.7754 0.7754 0.2246
F: 0.7754 0.2246 0.7754
F: 0.7754 0.2246 0.2246
F: 0.2246 0.7754 0.7754
F: 0.2246 0.2246 0.7754

---

Entry 10:
DFT (PBE with a Hubbard U) results for an optimized crystal structure of LiFe4P3O12.

VASP energy = -279.99 eV for the cell shown
DFT formation energy = -2.29 eV/atom
SG = P1, No. 1
crystal system = triclinic

Lattice parameters (Å, degrees): 6.0937 9.5442 9.5599 60.11 89.60 89.40
Fractional coordinates of all 40 atoms:
Li: 0.5284 0.6678 0.6631
Li: 0.0274 0.3304 0.3333
Fe: 0.7464 0.0378 0.6958
Fe: 0.9954 0.6706 0.6673
Fe: 0.7488 0.6966 0.2685
Fe: 0.7513 0.2675 0.0333
Fe: 0.2493 0.7334 0.9629
Fe: 0.2478 0.3028 0.7329
Fe: 0.4943 0.3366 0.3305
Fe: 0.2499 0.9668 0.3020
P: 0.2505 0.9826 0.6300
P: 0.2488 0.3850 0.9841
P: 0.2492 0.6309 0.3875
P: 0.7487 0.3696 0.6142
P: 0.7527 0.6126 0.0177
P: 0.7475 0.0182 0.3686
O: 0.4483 0.9280 0.7500
O: 0.0501 0.9345 0.7485
O: 0.2437 0.8688 0.5541
O: 0.7585 0.6597 0.8397
O: 0.7520 0.8409 0.5008
O: 0.2301 0.5739 0.8716
O: 0.0509 0.7507 0.3136
O: 0.4482 0.7491 0.3235
O: 0.7540 0.5010 0.6600
O: 0.2344 0.5562 0.5764
O: 0.0575 0.3070 0.9376
O: 0.4531 0.3248 0.9289
O: 0.5517 0.6834 0.0655
O: 0.9495 0.6786 0.0712
O: 0.7323 0.4454 0.4255
O: 0.2582 0.4985 0.3426
O: 0.9513 0.2524 0.6746
O: 0.5546 0.2471 0.6913
O: 0.7450 0.4235 0.1298
O: 0.2557 0.1592 0.4996
O: 0.2513 0.3392 0.1610
O: 0.7313 0.1327 0.4434
O: 0.9493 0.0708 0.2524
O: 0.5528 0.0652 0.2471

---

Entry 11:
DFT (PBE with a Hubbard U) results for an optimized crystal structure of SrDyNi4O12.

VASP energy = -89.68 eV for the cell shown
DFT formation energy = -1.07 eV/atom
SG = Cmmm, No. 65
crystal system = orthorhombic

Lattice parameters (Å, degrees): 5.3780 5.3780 7.5939 90.00 90.00 90.98
Fractional coordinates of all 18 atoms:
Sr: 0.0000 0.0000 0.0000
Dy: 0.5000 0.5000 0.5000
Ni: 0.0000 0.5000 0.2497
Ni: 0.0000 0.5000 0.7503
Ni: 0.5000 0.0000 0.2497
Ni: 0.5000 0.0000 0.7503
O: 0.2532 0.2532 0.2657
O: 0.2532 0.2532 0.7343
O: 0.7468 0.7468 0.2657
O: 0.7468 0.7468 0.7343
O: 0.7233 0.2767 0.2708
O: 0.7233 0.2767 0.7292
O: 0.2767 0.7233 0.7292
O: 0.2767 0.7233 0.2708
O: 0.0000 0.5000 0.0000
O: 0.0000 0.5000 0.5000
O: 0.5000 0.0000 0.0000
O: 0.5000 0.0000 0.5000

---

Entry 12:
DFT (PBE with a Hubbard U) results for an optimized crystal structure of FeH2O2.

VASP energy = -113.31 eV for the cell shown
DFT formation energy = -1.36 eV/atom
SG = P1, No. 1
crystal system = triclinic

Lattice parameters (Å, degrees): 3.3214 5.6971 10.0128 94.70 99.56 73.06
Fractional coordinates of all 20 atoms:
Fe: 0.4267 0.4993 0.4998
Fe: 0.1778 0.2508 0.7503
Fe: 0.9259 0.0004 0.0000
Fe: 0.6789 0.7496 0.2500
H: 0.3743 0.3421 0.2315
H: 0.1248 0.0913 0.4821
H: 0.8738 0.8428 0.7317
H: 0.6244 0.5921 0.9815
H: 0.9847 0.1580 0.2684
H: 0.7350 0.9071 0.5183
H: 0.4839 0.6587 0.7681
H: 0.2346 0.4080 0.0185
O: 0.3193 0.4994 0.2813
O: 0.0685 0.2489 0.5314
O: 0.8181 0.0001 0.7815
O: 0.5682 0.7494 0.0312
O: 0.0372 0.0007 0.2186
O: 0.7866 0.7498 0.4685
O: 0.5362 0.5010 0.7187
O: 0.2860 0.2507 0.9687

---

Entry 13:
DFT (PBE with a Hubbard U) results for an optimized crystal structure of SrEuCrBiO6.

VASP energy = -72.58 eV for the cell shown
DFT formation energy = -2.35 eV/atom
SG = F-43m, No. 216
crystal system = cubic

Lattice parameters (Å, degrees): 5.8051 5.8051 5.8051 60.00 60.00 60.00
Fractional coordinates of all 10 atoms:
Sr: 0.2500 0.2500 0.2500
Eu: 0.7500 0.7500 0.7500
Cr: 0.5000 0.5000 0.5000
Bi: 0.0000 0.0000 0.0000
O: 0.7435 0.2565 0.2565
O: 0.2565 0.7435 0.7435
O: 0.7435 0.2565 0.7435
O: 0.2565 0.7435 0.2565
O: 0.7435 0.7435 0.2565
O: 0.2565 0.2565 0.7435

---

Entry 14:
DFT (PBE with a Hubbard U) results for an optimized crystal structure of Li2CoGeO4.

VASP energy = -190.81 eV for the cell shown
DFT formation energy = -2.09 eV/atom
largest piezoelectric modulus = 1.48 C/m²

Lattice parameters (Å, degrees): 5.5241 8.2231 8.2140 76.82 90.00 90.00
Fractional coordinates of all 32 atoms:
Li: 0.3363 0.3726 0.8743
Li: 0.3363 0.8726 0.3743
Li: 0.6637 0.8726 0.8743
Li: 0.6637 0.3726 0.3743
Li: 0.8289 0.7473 0.2482
Li: 0.8289 0.2473 0.7482
Li: 0.1711 0.7473 0.7482
Li: 0.1711 0.2473 0.2482
Co: 0.1674 0.5008 0.5004
Co: 0.8326 0.5008 0.0004
Co: 0.1674 0.0008 0.0004
Co: 0.8326 0.0008 0.5004
Ge: 0.6692 0.1258 0.1207
Ge: 0.6692 0.6258 0.6207
Ge: 0.3308 0.6258 0.1207
Ge: 0.3308 0.1258 0.6207
O: 0.6763 0.3016 0.9467
O: 0.6763 0.8016 0.4467
O: 0.3237 0.8016 0.9467
O: 0.3237 0.3016 0.4467
O: 0.1785 0.6836 0.2912
O: 0.1785 0.1836 0.7912
O: 0.8215 0.6836 0.7912
O: 0.8215 0.1836 0.2912
O: 0.1776 0.4554 0.0633
O: 0.1776 0.9554 0.5633
O: 0.8224 0.4554 0.5633
O: 0.8224 0.9554 0.0633
O: 0.6364 0.5688 0.1767
O: 0.6364 0.0688 0.6767
O: 0.3636 0.5688 0.6767
O: 0.3636 0.0688 0.1767

---

Computed values of total moment (unit: μB per formula unit) for the preceding records, in sequence: 21.0, 4.0, 5.0, 1.2, 3.0, 13.0, 7.0, 2.0, 4.0, 16.0, 11.0, 0.0, 3.5, 0.0.